Below is a relaxed structure of Sm4FeSn8, with properties calculated at the PBE-GGA level.

Lattice parameters (Å, degrees): 4.469 4.528 16.661 90.00 90.00 90.00
Space group Pmm2 (No. 25)
Inequivalent atoms, fractional coordinates:
Sm1 0.000 0.000 0.000 (multiplicity 1)
Sm2 0.000 0.500 0.496 (multiplicity 1)
Sm3 0.500 0.000 0.794 (multiplicity 1)
Sm4 0.500 0.500 0.298 (multiplicity 1)
Fe1 0.000 0.500 0.703 (multiplicity 1)
Sn1 0.000 0.000 0.335 (multiplicity 1)
Sn2 0.000 0.000 0.637 (multiplicity 1)
Sn3 0.000 0.500 0.147 (multiplicity 1)
Sn4 0.000 0.500 0.850 (multiplicity 1)
Sn5 0.500 0.000 0.150 (multiplicity 1)
Sn6 0.500 0.000 0.460 (multiplicity 1)
Sn7 0.500 0.500 0.637 (multiplicity 1)
Sn8 0.500 0.500 0.969 (multiplicity 1)

Results
Total DFT energy (no corrections)   -5.11 eV per atom
E_form   -536.2 meV/atom